# Sr4PtN4

A geometry-optimized Sr4PtN4 structure (PBE-GGA, Materials Project).

Lattice parameters (Å, degrees): 6.397 6.327 9.148 68.84 80.57 75.03
Positions (direct):
Sr1 0.798 0.566 0.150
Sr2 0.202 0.434 0.850
Sr3 0.702 0.169 0.987
Sr4 0.298 0.831 0.013
Sr5 0.744 0.434 0.595
Sr6 0.256 0.566 0.405
Sr7 0.221 0.977 0.623
Sr8 0.779 0.023 0.377
Pt1 0.729 0.833 0.762
Pt2 0.271 0.167 0.238
N1 0.987 0.676 0.616
N2 0.013 0.324 0.384
N3 0.970 0.859 0.875
N4 0.030 0.141 0.125
N5 0.517 0.637 0.778
N6 0.483 0.363 0.222
N7 0.514 0.885 0.229
N8 0.486 0.115 0.771

Results
Energy of formation from the pure elements (eV/atom): -0.458
Total magnetization (Bohr magnetons per cell): 1.80
Symmetry: No. 2
Energy relative to the lowest polymorph listed for this composition (eV per formula unit): 0.85
Crystal system: triclinic